No. 1
# LiTaWO6

Crystalline LiTaWO6 at its relaxed geometry (PBE with a Hubbard U, the Materials Project).

Cell lengths 7.375, 7.375, 7.375 Å; angles 120.30, 119.60, 90.09 degrees
Fractional positions:
1 O 0.440 0.690 0.373
2 W 0.500 0.000 0.500
3 Li 0.000 0.500 0.500
4 Li 0.500 0.500 0.000
5 O 0.426 0.676 0.750
6 O 0.560 0.310 0.627
7 O 0.817 0.066 0.127
8 Ta 0.500 0.000 0.000
9 O 0.183 0.310 0.249
10 O 0.807 0.057 0.750
11 O 0.560 0.934 0.251
12 O 0.574 0.324 0.250
13 W 0.000 0.000 0.000
14 O 0.193 0.943 0.250
15 O 0.440 0.066 0.749
16 O 0.817 0.690 0.751
17 O 0.183 0.934 0.873
18 Ta 0.500 0.500 0.500

Relative energy among the computed polymorphs = 3.4 kJ per mole of atoms
Calculated volume = 15.8 Å³/atom
Energy relative to the elements = -2.6256 eV/atom
MP2020-corrected energy = -8.89 eV/atom
Crystal system = orthorhombic
Electronic total energy = -142.97 eV per cell

No. 2
# BaCaWF7

Crystalline BaCaWF7 at its relaxed geometry (PBE with a Hubbard U, the Materials Project).

Cell lengths 10.661, 5.977, 10.271 Å; angles 88.66, 90.00, 90.00 degrees
Fractional positions:
1 F 0.282 0.011 0.755
2 F 0.075 0.880 0.607
3 F 0.040 0.413 0.121
4 W 0.121 0.190 0.690
5 F 0.718 0.989 0.245
6 F 0.708 0.518 0.735
7 F 0.544 0.351 0.124
8 F 0.206 0.290 0.511
9 Ba 0.337 0.730 0.501
10 F 0.425 0.880 0.107
11 F 0.540 0.587 0.379
12 F 0.208 0.482 0.765
13 F 0.964 0.929 0.135
14 W 0.621 0.810 0.810
15 F 0.464 0.071 0.365
16 F 0.294 0.290 0.011
17 W 0.379 0.190 0.190
18 Ca 0.594 0.696 0.181
19 Ca 0.406 0.304 0.819
20 F 0.292 0.482 0.265
21 F 0.794 0.710 0.489
22 F 0.456 0.649 0.876
23 F 0.706 0.710 0.989
24 F 0.956 0.351 0.624
25 F 0.036 0.071 0.865
26 F 0.460 0.413 0.621
27 Ba 0.163 0.730 0.001
28 F 0.536 0.929 0.635
29 Ca 0.094 0.304 0.319
30 Ba 0.663 0.270 0.499
31 F 0.575 0.120 0.893
32 F 0.218 0.011 0.255
33 F 0.044 0.649 0.376
34 F 0.925 0.120 0.393
35 Ba 0.837 0.270 0.999
36 Ca 0.906 0.696 0.681
37 F 0.782 0.989 0.745
38 F 0.960 0.587 0.879
39 F 0.792 0.518 0.235
40 W 0.879 0.810 0.310

Calculated volume = 16.4 Å³/atom
Energy relative to the elements = -3.5170 eV/atom
MP2020-corrected energy = -6.55 eV/atom
Crystal system = monoclinic
Electronic total energy = -231.13 eV per cell

No. 3
# NbNi2BO6

Crystalline NbNi2BO6 at its relaxed geometry (PBE with a Hubbard U, the Materials Project).

Cell lengths 4.539, 8.732, 10.217 Å; angles 90.00, 90.00, 90.00 degrees
Fractional positions:
1 Nb 0.975 0.750 0.920
2 B 0.090 0.750 0.226
3 Ni 0.520 0.570 0.136
4 O 0.260 0.083 0.038
5 Nb 0.525 0.750 0.420
6 O 0.239 0.884 0.292
7 O 0.240 0.083 0.538
8 O 0.261 0.616 0.792
9 O 0.229 0.250 0.773
10 O 0.760 0.583 0.462
11 O 0.761 0.384 0.708
12 Ni 0.980 0.930 0.636
13 O 0.740 0.583 0.962
14 O 0.240 0.417 0.538
15 O 0.716 0.250 0.415
16 B 0.910 0.250 0.774
17 Ni 0.020 0.070 0.364
18 O 0.761 0.116 0.708
19 Ni 0.020 0.430 0.364
20 Ni 0.980 0.570 0.636
21 O 0.760 0.917 0.462
22 O 0.284 0.750 0.585
23 Ni 0.480 0.070 0.864
24 B 0.590 0.250 0.274
25 O 0.784 0.250 0.915
26 Ni 0.520 0.930 0.136
27 B 0.410 0.750 0.726
28 O 0.729 0.750 0.727
29 O 0.260 0.417 0.038
30 O 0.771 0.750 0.227
31 Nb 0.475 0.250 0.580
32 O 0.261 0.884 0.792
33 O 0.740 0.917 0.962
34 O 0.739 0.384 0.208
35 O 0.739 0.116 0.208
36 O 0.216 0.750 0.085
37 O 0.271 0.250 0.273
38 Nb 0.025 0.250 0.080
39 Ni 0.480 0.430 0.864
40 O 0.239 0.616 0.292

Calculated volume = 10.1 Å³/atom
Energy relative to the elements = -2.2967 eV/atom
MP2020-corrected energy = -8.10 eV/atom
Crystal system = orthorhombic
Electronic total energy = -287.17 eV per cell

No. 4
# Na3NiBPO7

Crystalline Na3NiBPO7 at its relaxed geometry (PBE with a Hubbard U, the Materials Project).

Cell lengths 6.752, 5.162, 8.888 Å; angles 88.35, 90.00, 90.00 degrees
Fractional positions:
1 B 0.250 0.267 0.931
2 Na 0.507 0.747 0.732
3 O 0.250 0.419 0.461
4 Na 0.750 0.235 0.916
5 Na 0.993 0.747 0.732
6 Na 0.007 0.253 0.268
7 O 0.250 0.472 0.826
8 O 0.434 0.781 0.320
9 Ni 0.250 0.218 0.657
10 O 0.750 0.581 0.539
11 O 0.250 0.031 0.860
12 O 0.250 0.294 0.081
13 O 0.066 0.781 0.320
14 Na 0.493 0.253 0.268
15 O 0.250 0.868 0.566
16 O 0.750 0.132 0.434
17 O 0.934 0.219 0.680
18 P 0.750 0.283 0.581
19 B 0.750 0.733 0.069
20 O 0.750 0.528 0.174
21 Ni 0.750 0.782 0.343
22 P 0.250 0.717 0.419
23 O 0.750 0.969 0.140
24 Na 0.250 0.765 0.084
25 O 0.566 0.219 0.680
26 O 0.750 0.706 0.919

Calculated volume = 11.9 Å³/atom
Energy relative to the elements = -2.2857 eV/atom
MP2020-corrected energy = -6.63 eV/atom
Crystal system = monoclinic
Electronic total energy = -157.68 eV per cell

No. 5
# NiF4

Crystalline NiF4 at its relaxed geometry (PBE with a Hubbard U, the Materials Project).

Cell lengths 6.361, 6.361, 6.361 Å; angles 129.01, 129.01, 75.00 degrees
Fractional positions:
1 Ni 0.000 0.500 0.500
2 F 0.784 0.284 0.828
3 F 0.544 0.044 0.828
4 F 0.284 0.456 0.500
5 F 0.956 0.784 0.500
6 F 0.044 0.216 0.500
7 F 0.716 0.544 0.500
8 F 0.216 0.716 0.172
9 F 0.456 0.956 0.172
10 Ni 0.500 0.000 0.500

Calculated volume = 15.1 Å³/atom
Energy relative to the elements = -1.2902 eV/atom
MP2020-corrected energy = -3.98 eV/atom
Crystal system = tetragonal
Electronic total energy = -31.00 eV per cell

> Number 2 is which compound?

BaCaWF7